DFT (GGA-PBE) results for Ba2CuB2O6 after structural relaxation.

a = 8.3155 Å, b = 11.2639 Å, c = 14.1606 Å
α = 90.00°, β = 90.00°, γ = 90.00°
Positions (direct):
Ba: 0.3405 0.9815 0.2174
Ba: 0.3405 0.5185 0.2174
Ba: 0.8405 0.9815 0.2826
Ba: 0.5000 0.0000 0.5000
Ba: 0.8405 0.5185 0.2826
Ba: 0.6595 0.4815 0.7826
Ba: 0.0000 0.0000 0.0000
Ba: 0.1595 0.0185 0.7174
Ba: 0.0000 0.5000 0.0000
Ba: 0.1595 0.4815 0.7174
Ba: 0.6163 0.7500 0.0462
Ba: 0.1163 0.7500 0.4538
Ba: 0.3837 0.2500 0.9538
Ba: 0.6595 0.0185 0.7826
Ba: 0.8837 0.2500 0.5462
Ba: 0.5000 0.5000 0.5000
Cu: 0.8000 0.2500 0.9271
Cu: 0.7000 0.7500 0.4271
Cu: 0.4567 0.7500 0.8009
Cu: 0.2000 0.7500 0.0729
Cu: 0.9567 0.7500 0.6991
Cu: 0.0433 0.2500 0.3009
Cu: 0.3000 0.2500 0.5729
Cu: 0.5433 0.2500 0.1991
B: 0.0202 0.7500 0.2064
B: 0.8616 0.5702 0.5647
B: 0.6384 0.0702 0.0647
B: 0.6384 0.4298 0.0647
B: 0.9798 0.2500 0.7936
B: 0.3616 0.9298 0.9353
B: 0.3616 0.5702 0.9353
B: 0.4278 0.7500 0.6323
B: 0.8616 0.9298 0.5647
B: 0.4798 0.2500 0.7064
B: 0.1384 0.0702 0.4353
B: 0.5202 0.7500 0.2936
B: 0.9278 0.7500 0.8677
B: 0.1384 0.4298 0.4353
B: 0.5722 0.2500 0.3677
B: 0.0722 0.2500 0.1323
O: 0.8042 0.6080 0.4764
O: 0.5852 0.2500 0.4628
O: 0.9350 0.6456 0.8122
O: 0.5650 0.1456 0.3122
O: 0.4352 0.7500 0.2115
O: 0.2071 0.9734 0.3926
O: 0.0058 0.3716 0.3954
O: 0.7929 0.4734 0.6074
O: 0.7929 0.0266 0.6074
O: 0.0650 0.3544 0.1878
O: 0.4148 0.7500 0.5372
O: 0.5684 0.6455 0.3389
O: 0.3042 0.8920 0.0236
O: 0.8042 0.8920 0.4764
O: 0.0648 0.2500 0.7115
O: 0.0684 0.6455 0.1611
O: 0.3042 0.6080 0.0236
O: 0.9316 0.1455 0.8389
O: 0.1958 0.1080 0.5236
O: 0.4350 0.8544 0.6878
O: 0.5650 0.3544 0.3122
O: 0.9352 0.7500 0.2885
O: 0.0852 0.2500 0.0372
O: 0.2071 0.5266 0.3926
O: 0.0058 0.1284 0.3954
O: 0.6958 0.3920 0.9764
O: 0.4316 0.3545 0.6611
O: 0.4316 0.1455 0.6611
O: 0.2929 0.4734 0.8926
O: 0.5058 0.3716 0.1046
O: 0.9316 0.3545 0.8389
O: 0.5648 0.2500 0.7885
O: 0.4942 0.6284 0.8954
O: 0.7071 0.5266 0.1074
O: 0.9942 0.6284 0.6046
O: 0.7071 0.9734 0.1074
O: 0.2929 0.0266 0.8926
O: 0.6958 0.1080 0.9764
O: 0.5684 0.8545 0.3389
O: 0.5058 0.1284 0.1046
O: 0.9350 0.8544 0.8122
O: 0.9942 0.8716 0.6046
O: 0.4942 0.8716 0.8954
O: 0.0684 0.8545 0.1611
O: 0.0650 0.1456 0.1878
O: 0.1958 0.3920 0.5236
O: 0.9148 0.7500 0.9628
O: 0.4350 0.6456 0.6878

Results
For the total magnetization, the calculation gives 0.0 Bohr magnetons per cell. As for the volume: 15.1 Å³ per atom. As for the energy relative to the elements: -2.74 eV/atom. The MP2020-corrected energy comes out at -7.37 eV per atom. As for the total energy: -615.7 eV per cell.